{
  "formula": "ZnH12C3SeS3N6O4",
  "functional": "GGA-PBE",
  "state": "optimized geometry",
  "sg": "No. 29",
  "density_g_cm3": 2.0,
  "dft_energy_ev_per_atom": -5.5751,
  "volume_a3_per_fu": 366,
  "energy_corrected_mp2020_ev_per_atom": -5.717,
  "lattice": [[11.453, 0.000, 0.000], [0.000, 7.986, 0.000], [0.000, 0.000, 15.985]],
  "species": ["Zn", "Zn", "Zn", "Zn", "H", "H", "H", "H", "H", "H", "H", "H", "H", "H", "H", "H", "H", "H", "H", "H", "H", "H", "H", "H", "H", "H", "H", "H", "H", "H", "H", "H", "H", "H", "H", "H", "H", "H", "H", "H", "H", "H", "H", "H", "H", "H", "H", "H", "H", "H", "H", "H", "C", "C", "C", "C", "C", "C", "C", "C", "C", "C", "C", "C", "Se", "Se", "Se", "Se", "S", "S", "S", "S", "S", "S", "S", "S", "S", "S", "S", "S", "N", "N", "N", "N", "N", "N", "N", "N", "N", "N", "N", "N", "N", "N", "N", "N", "N", "N", "N", "N", "N", "N", "N", "N", "O", "O", "O", "O", "O", "O", "O", "O", "O", "O", "O", "O", "O", "O", "O", "O"],
  "fractional_positions": [[0.063, 0.161, 0.000], [0.437, 0.161, 0.500], [0.563, 0.839, 0.000], [0.937, 0.839, 0.500], [0.035, 0.099, 0.419], [0.035, 0.336, 0.712], [0.049, 0.185, 0.319], [0.087, 0.579, 0.564], [0.119, 0.781, 0.737], [0.142, 0.703, 0.143], [0.146, 0.851, 0.060], [0.150, 0.194, 0.700], [0.211, 0.439, 0.912], [0.215, 0.523, 0.325], [0.219, 0.475, 0.545], [0.245, 0.898, 0.766], [0.255, 0.898, 0.266], [0.281, 0.475, 0.045], [0.285, 0.523, 0.825], [0.289, 0.439, 0.412], [0.350, 0.194, 0.200], [0.354, 0.851, 0.560], [0.358, 0.703, 0.643], [0.381, 0.781, 0.237], [0.413, 0.579, 0.064], [0.451, 0.185, 0.819], [0.465, 0.099, 0.919], [0.465, 0.336, 0.212], [0.535, 0.664, 0.712], [0.535, 0.901, 0.419], [0.549, 0.815, 0.319], [0.587, 0.421, 0.564], [0.619, 0.219, 0.737], [0.642, 0.297, 0.143], [0.646, 0.149, 0.060], [0.650, 0.806, 0.700], [0.711, 0.561, 0.912], [0.715, 0.477, 0.325], [0.719, 0.525, 0.545], [0.745, 0.102, 0.766], [0.755, 0.102, 0.266], [0.781, 0.525, 0.045], [0.785, 0.477, 0.825], [0.789, 0.561, 0.412], [0.850, 0.806, 0.200], [0.854, 0.149, 0.560], [0.858, 0.297, 0.643], [0.881, 0.219, 0.237], [0.913, 0.421, 0.064], [0.951, 0.815, 0.819], [0.965, 0.664, 0.212], [0.965, 0.901, 0.919], [0.005, 0.151, 0.626], [0.115, 0.899, 0.852], [0.138, 0.567, 0.440], [0.362, 0.567, 0.940], [0.385, 0.899, 0.352], [0.495, 0.151, 0.126], [0.505, 0.849, 0.626], [0.615, 0.101, 0.852], [0.638, 0.433, 0.440], [0.862, 0.433, 0.940], [0.885, 0.101, 0.352], [0.995, 0.849, 0.126], [0.126, 0.351, 0.174], [0.374, 0.351, 0.674], [0.626, 0.649, 0.174], [0.874, 0.649, 0.674], [0.022, 0.673, 0.396], [0.077, 0.997, 0.570], [0.200, 0.010, 0.923], [0.300, 0.010, 0.423], [0.423, 0.997, 0.070], [0.478, 0.673, 0.896], [0.522, 0.327, 0.396], [0.577, 0.003, 0.570], [0.700, 0.990, 0.923], [0.800, 0.990, 0.423], [0.923, 0.003, 0.070], [0.978, 0.327, 0.896], [0.005, 0.854, 0.867], [0.065, 0.227, 0.687], [0.104, 0.802, 0.111], [0.150, 0.546, 0.522], [0.165, 0.852, 0.780], [0.220, 0.505, 0.389], [0.280, 0.505, 0.889], [0.335, 0.852, 0.280], [0.350, 0.546, 0.022], [0.396, 0.802, 0.611], [0.435, 0.227, 0.187], [0.495, 0.854, 0.367], [0.505, 0.146, 0.867], [0.565, 0.773, 0.687], [0.604, 0.198, 0.111], [0.650, 0.454, 0.522], [0.665, 0.148, 0.780], [0.720, 0.495, 0.389], [0.780, 0.495, 0.889], [0.835, 0.148, 0.280], [0.850, 0.454, 0.022], [0.896, 0.198, 0.611], [0.935, 0.773, 0.187], [0.995, 0.146, 0.367], [0.017, 0.618, 0.682], [0.159, 0.320, 0.070], [0.171, 0.187, 0.230], [0.199, 0.525, 0.202], [0.301, 0.525, 0.702], [0.329, 0.187, 0.730], [0.341, 0.320, 0.570], [0.483, 0.618, 0.182], [0.517, 0.382, 0.682], [0.659, 0.680, 0.070], [0.671, 0.813, 0.230], [0.699, 0.475, 0.202], [0.801, 0.475, 0.702], [0.829, 0.813, 0.730], [0.841, 0.680, 0.570], [0.983, 0.382, 0.182]]
}